Record 1
Entry from the Materials Project database: a geometry-optimized Li5La3Sb2O12 structure (PBE-GGA).

Cell lengths 11.231, 11.245, 11.250 Å; angles 109.04, 109.52, 109.69 degrees
Fractional positions:
Li (0.892, 0.690, 0.441)
Li (0.275, 0.106, 0.012)
Li (0.077, 0.608, 0.320)
Li (0.750, 0.813, 0.709)
Li (0.756, 0.475, 0.084)
Li (0.390, 0.959, 0.209)
Li (0.307, 0.709, 0.253)
Li (0.191, 0.441, 0.395)
Li (0.464, 0.208, 0.896)
Li (0.814, 0.569, 0.609)
Li (0.544, 0.790, 0.100)
Li (0.248, 0.542, 0.927)
Li (0.254, 0.182, 0.288)
Li (0.603, 0.021, 0.777)
Li (0.711, 0.890, 0.966)
Li (0.588, 0.261, 0.485)
Li (0.925, 0.395, 0.684)
Li (0.211, 0.243, 0.813)
Li (0.112, 0.320, 0.577)
Li (0.952, 0.056, 0.250)
La (0.249, 0.879, 0.628)
La (0.109, 0.867, 0.250)
La (0.617, 0.369, 0.251)
La (0.749, 0.616, 0.875)
La (0.125, 0.757, 0.877)
La (0.871, 0.250, 0.119)
La (0.628, 0.752, 0.378)
La (0.379, 0.248, 0.623)
La (0.251, 0.382, 0.128)
La (0.383, 0.633, 0.743)
La (0.879, 0.129, 0.749)
La (0.751, 0.119, 0.372)
Sb (0.999, 0.999, 0.502)
Sb (0.999, 0.998, 0.996)
Sb (0.497, 0.998, 0.501)
Sb (0.500, 0.503, 0.999)
Sb (0.000, 0.498, 0.996)
Sb (0.503, 0.001, 0.004)
Sb (0.500, 0.504, 0.499)
Sb (0.997, 0.497, 0.499)
O (0.676, 0.594, 0.477)
O (0.009, 0.683, 0.613)
O (0.417, 0.327, 0.303)
O (0.486, 0.888, 0.814)
O (0.028, 0.827, 0.420)
O (0.900, 0.886, 0.076)
O (0.667, 0.565, 0.192)
O (0.820, 0.012, 0.896)
O (0.623, 0.933, 0.604)
O (0.882, 0.481, 0.305)
O (0.394, 0.320, 0.011)
O (0.101, 0.125, 0.930)
O (0.289, 0.828, 0.411)
O (0.186, 0.613, 0.511)
O (0.179, 0.985, 0.096)
O (0.918, 0.609, 0.091)
O (0.588, 0.672, 0.699)
O (0.915, 0.797, 0.829)
O (0.577, 0.402, 0.890)
O (0.505, 0.892, 0.322)
O (0.312, 0.984, 0.887)
O (0.205, 0.090, 0.670)
O (0.173, 0.697, 0.081)
O (0.878, 0.905, 0.576)
O (0.617, 0.202, 0.031)
O (0.098, 0.482, 0.177)
O (0.407, 0.578, 0.378)
O (0.805, 0.927, 0.330)
O (0.836, 0.299, 0.923)
O (0.384, 0.805, 0.980)
O (0.916, 0.532, 0.828)
O (0.594, 0.423, 0.613)
O (0.424, 0.604, 0.112)
O (0.469, 0.082, 0.673)
O (0.086, 0.390, 0.907)
O (0.388, 0.086, 0.407)
O (0.115, 0.512, 0.690)
O (0.586, 0.672, 0.965)
O (0.690, 0.168, 0.564)
O (0.804, 0.382, 0.484)
O (0.322, 0.422, 0.805)
O (0.526, 0.111, 0.200)
O (0.985, 0.177, 0.599)
O (0.983, 0.306, 0.386)
O (0.325, 0.409, 0.522)
O (0.700, 0.022, 0.116)
O (0.113, 0.087, 0.414)
O (0.074, 0.189, 0.176)

Values from the calculation:
space-group type = P1, No. 1
energy relative to the elements = -2.728 eV/atom


Record 2
Entry from the Materials Project database: a geometry-optimized Y3Zn2Au4 structure (PBE-GGA).

Cell lengths 3.723, 7.850, 7.652 Å; angles 120.86, 90.00, 90.00 degrees
Fractional positions:
Y (0.000, 0.409, 0.000)
Y (0.000, 0.606, 0.620)
Y (0.000, 0.985, 0.380)
Zn (0.500, 0.270, 0.266)
Zn (0.500, 0.004, 0.734)
Au (0.500, 0.663, 0.349)
Au (0.500, 0.313, 0.651)
Au (0.000, 0.023, 0.000)
Au (0.500, 0.726, 0.000)

Values from the calculation:
space-group type = Amm2, No. 38
energy relative to the elements = -0.731 eV/atom


Record 3
Entry from the Materials Project database: a geometry-optimized Bi24Cl10O31 structure (PBE-GGA).

Cell lengths 8.071, 10.253, 29.999 Å; angles 88.93, 90.00, 90.00 degrees
Fractional positions:
Bi (0.849, 0.916, 0.686)
Bi (0.376, 0.097, 0.099)
Bi (0.624, 0.903, 0.901)
Bi (0.343, 0.077, 0.804)
Bi (0.121, 0.401, 0.834)
Bi (0.151, 0.916, 0.186)
Bi (0.879, 0.599, 0.166)
Bi (0.106, 0.797, 0.782)
Bi (0.624, 0.443, 0.547)
Bi (0.894, 0.797, 0.282)
Bi (0.624, 0.557, 0.953)
Bi (0.119, 0.249, 0.427)
Bi (0.376, 0.443, 0.047)
Bi (0.160, 0.065, 0.591)
Bi (0.376, 0.557, 0.453)
Bi (0.376, 0.903, 0.401)
Bi (0.346, 0.744, 0.573)
Bi (0.654, 0.744, 0.073)
Bi (0.375, 0.756, 0.283)
Bi (0.124, 0.430, 0.545)
Bi (0.618, 0.395, 0.837)
Bi (0.121, 0.599, 0.666)
Bi (0.106, 0.203, 0.718)
Bi (0.343, 0.923, 0.696)
Bi (0.124, 0.570, 0.955)
Bi (0.840, 0.935, 0.409)
Bi (0.382, 0.395, 0.337)
Bi (0.881, 0.751, 0.573)
Bi (0.876, 0.430, 0.045)
Bi (0.879, 0.401, 0.334)
Bi (0.840, 0.065, 0.091)
Bi (0.876, 0.570, 0.455)
Bi (0.657, 0.077, 0.304)
Bi (0.382, 0.605, 0.163)
Bi (0.881, 0.249, 0.927)
Bi (0.618, 0.605, 0.663)
Bi (0.119, 0.751, 0.073)
Bi (0.160, 0.935, 0.909)
Bi (0.151, 0.084, 0.314)
Bi (0.346, 0.256, 0.927)
Bi (0.894, 0.203, 0.218)
Bi (0.849, 0.084, 0.814)
Bi (0.375, 0.244, 0.217)
Bi (0.625, 0.756, 0.783)
Bi (0.657, 0.923, 0.196)
Bi (0.625, 0.244, 0.717)
Bi (0.624, 0.097, 0.599)
Bi (0.654, 0.256, 0.427)
Cl (0.626, 0.797, 0.489)
Cl (0.873, 0.199, 0.516)
Cl (0.114, 0.500, 0.250)
Cl (0.873, 0.801, 0.984)
Cl (0.374, 0.797, 0.989)
Cl (0.621, 0.664, 0.371)
Cl (0.379, 0.336, 0.629)
Cl (0.872, 0.653, 0.868)
Cl (0.872, 0.347, 0.632)
Cl (0.374, 0.203, 0.511)
Cl (0.127, 0.199, 0.016)
Cl (0.128, 0.653, 0.368)
Cl (0.379, 0.664, 0.871)
Cl (0.375, 0.500, 0.750)
Cl (0.626, 0.203, 0.011)
Cl (0.886, 0.500, 0.750)
Cl (0.621, 0.336, 0.129)
Cl (0.128, 0.347, 0.132)
Cl (0.625, 0.500, 0.250)
Cl (0.127, 0.801, 0.484)
O (0.874, 0.392, 0.412)
O (0.633, 0.695, 0.146)
O (0.874, 0.608, 0.088)
O (0.631, 0.076, 0.670)
O (0.395, 0.141, 0.731)
O (0.375, 0.216, 0.296)
O (0.222, 0.931, 0.106)
O (0.124, 0.527, 0.028)
O (0.367, 0.695, 0.646)
O (0.114, 0.862, 0.591)
O (0.403, 0.020, 0.901)
O (0.877, 0.307, 0.854)
O (0.123, 0.307, 0.354)
O (0.850, 0.132, 0.734)
O (0.877, 0.693, 0.646)
O (0.124, 0.776, 0.705)
O (0.879, 0.057, 0.162)
O (0.375, 0.784, 0.204)
O (0.876, 0.473, 0.972)
O (0.222, 0.069, 0.394)
O (0.778, 0.069, 0.894)
O (0.597, 0.980, 0.099)
O (0.627, 0.531, 0.028)
O (0.622, 0.626, 0.589)
O (0.121, 0.057, 0.662)
O (0.625, 0.216, 0.796)
O (0.876, 0.527, 0.528)
O (0.126, 0.608, 0.588)
O (0.879, 0.943, 0.338)
O (0.369, 0.076, 0.170)
O (0.625, 0.784, 0.704)
O (0.597, 0.020, 0.401)
O (0.778, 0.931, 0.606)
O (0.126, 0.392, 0.912)
O (0.627, 0.469, 0.472)
O (0.114, 0.138, 0.909)
O (0.150, 0.132, 0.234)
O (0.631, 0.924, 0.830)
O (0.395, 0.859, 0.769)
O (0.124, 0.224, 0.795)
O (0.373, 0.531, 0.528)
O (0.851, 0.000, 0.250)
O (0.622, 0.374, 0.911)
O (0.369, 0.924, 0.330)
O (0.378, 0.374, 0.411)
O (0.886, 0.862, 0.091)
O (0.121, 0.943, 0.838)
O (0.378, 0.626, 0.089)
O (0.876, 0.776, 0.205)
O (0.124, 0.473, 0.472)
O (0.605, 0.859, 0.269)
O (0.123, 0.693, 0.146)
O (0.886, 0.138, 0.409)
O (0.876, 0.224, 0.295)
O (0.403, 0.980, 0.599)
O (0.633, 0.305, 0.354)
O (0.149, 0.000, 0.750)
O (0.850, 0.868, 0.766)
O (0.605, 0.141, 0.231)
O (0.373, 0.469, 0.972)
O (0.367, 0.305, 0.854)
O (0.150, 0.868, 0.266)

Values from the calculation:
space-group type = P2/c, No. 13
energy relative to the elements = -1.585 eV/atom


Record 4
Entry from the Materials Project database: a geometry-optimized Li9S3N structure (PBE-GGA).

Cell lengths 5.516, 5.516, 5.516 Å; angles 90.00, 90.00, 90.00 degrees
Fractional positions:
Li (0.782, 0.218, 0.782)
Li (0.218, 0.218, 0.218)
Li (0.782, 0.782, 0.782)
Li (0.218, 0.782, 0.218)
Li (0.782, 0.218, 0.218)
Li (0.782, 0.782, 0.218)
Li (0.500, 0.500, 0.500)
Li (0.218, 0.782, 0.782)
Li (0.218, 0.218, 0.782)
S (0.500, 0.500, 0.000)
S (0.000, 0.500, 0.500)
S (0.500, 0.000, 0.500)
N (0.000, 0.000, 0.000)

Values from the calculation:
space-group type = Pm-3m, No. 221
energy relative to the elements = -1.174 eV/atom


Record 5
Entry from the Materials Project database: a geometry-optimized K3NdCl6 structure (PBE-GGA).

Cell lengths 8.075, 8.075, 8.075 Å; angles 60.00, 60.00, 60.00 degrees
Fractional positions:
K (0.750, 0.750, 0.750)
K (0.250, 0.250, 0.250)
K (0.500, 0.500, 0.500)
Nd (0.000, 0.000, 0.000)
Cl (0.761, 0.239, 0.239)
Cl (0.239, 0.239, 0.761)
Cl (0.239, 0.761, 0.761)
Cl (0.239, 0.761, 0.239)
Cl (0.761, 0.239, 0.761)
Cl (0.761, 0.761, 0.239)

Values from the calculation:
space-group type = Fm-3m, No. 225
energy relative to the elements = -2.396 eV/atom


Record 6
Entry from the Materials Project database: a geometry-optimized TlSb structure (PBE-GGA).

Cell lengths 4.803, 4.803, 4.803 Å; angles 60.00, 60.00, 60.00 degrees
Fractional positions:
Tl (0.000, 0.000, 0.000)
Sb (0.250, 0.250, 0.250)

Values from the calculation:
space-group type = F-43m, No. 216
energy relative to the elements = 0.033 eV/atom


Record 7
Entry from the Materials Project database: a geometry-optimized NaMgAl3Si3O16 structure (PBE-GGA).

Cell lengths 9.157, 9.157, 8.964 Å; angles 89.49, 89.49, 88.33 degrees
Fractional positions:
Na (0.705, 0.211, 0.314)
Na (0.211, 0.705, 0.814)
Mg (0.263, 0.761, 0.295)
Mg (0.761, 0.263, 0.795)
Al (0.998, 0.006, 0.270)
Al (0.487, 0.253, 0.012)
Al (0.748, 0.514, 0.516)
Al (0.514, 0.748, 0.016)
Al (0.253, 0.487, 0.512)
Al (0.006, 0.998, 0.770)
Si (0.505, 0.501, 0.264)
Si (0.003, 0.249, 0.523)
Si (0.750, 0.999, 0.016)
Si (0.999, 0.750, 0.516)
Si (0.249, 0.003, 0.023)
Si (0.501, 0.505, 0.764)
O (0.942, 0.150, 0.389)
O (0.645, 0.144, 0.060)
O (0.636, 0.447, 0.376)
O (0.060, 0.845, 0.370)
O (0.355, 0.858, 0.086)
O (0.355, 0.559, 0.358)
O (0.965, 0.850, 0.659)
O (0.650, 0.867, 0.966)
O (0.643, 0.555, 0.672)
O (0.048, 0.154, 0.668)
O (0.354, 0.132, 0.967)
O (0.364, 0.458, 0.665)
O (0.458, 0.364, 0.165)
O (0.154, 0.048, 0.168)
O (0.132, 0.354, 0.467)
O (0.559, 0.355, 0.858)
O (0.845, 0.060, 0.870)
O (0.858, 0.355, 0.586)
O (0.447, 0.636, 0.876)
O (0.150, 0.942, 0.889)
O (0.144, 0.645, 0.560)
O (0.555, 0.643, 0.172)
O (0.850, 0.965, 0.159)
O (0.867, 0.650, 0.466)
O (0.813, 0.317, 0.013)
O (0.187, 0.681, 0.094)
O (0.952, 0.541, 0.871)
O (0.061, 0.459, 0.872)
O (0.459, 0.061, 0.372)
O (0.681, 0.187, 0.594)
O (0.317, 0.813, 0.513)
O (0.541, 0.952, 0.371)

Values from the calculation:
space-group type = Cc, No. 9
energy relative to the elements = -2.241 eV/atom


Record 8
Entry from the Materials Project database: a geometry-optimized SrLa3Cu4O10 structure (PBE-GGA).

Cell lengths 3.903, 5.487, 10.628 Å; angles 89.85, 90.00, 90.00 degrees
Fractional positions:
Sr (0.500, 0.198, 0.138)
La (0.500, 0.806, 0.866)
La (0.500, 0.690, 0.356)
La (0.500, 0.307, 0.639)
Cu (0.000, 0.211, 0.392)
Cu (0.000, 0.791, 0.606)
Cu (0.000, 0.712, 0.109)
Cu (0.000, 0.290, 0.894)
O (0.500, 0.213, 0.402)
O (0.500, 0.785, 0.603)
O (0.500, 0.710, 0.102)
O (0.500, 0.288, 0.888)
O (0.000, 0.497, 0.502)
O (0.000, 0.985, 0.990)
O (0.000, 0.452, 0.226)
O (0.000, 0.565, 0.785)
O (0.000, 0.932, 0.290)
O (0.000, 0.066, 0.712)

Values from the calculation:
space-group type = Pm, No. 6
energy relative to the elements = -2.414 eV/atom


Record 9
Entry from the Materials Project database: a geometry-optimized TeMoN structure (PBE-GGA).

Cell lengths 3.507, 3.507, 9.360 Å; angles 90.00, 90.00, 90.00 degrees
Fractional positions:
Te (0.500, 0.000, 0.701)
Te (0.000, 0.500, 0.299)
Mo (0.500, 0.000, 0.112)
Mo (0.000, 0.500, 0.888)
N (0.500, 0.500, 0.000)
N (0.000, 0.000, 0.000)

Values from the calculation:
space-group type = P4/nmm, No. 129
energy relative to the elements = -0.177 eV/atom


Please write out number 7 again, unchanged.
Entry from the Materials Project database: a geometry-optimized NaMgAl3Si3O16 structure (PBE-GGA).

Cell lengths 9.157, 9.157, 8.964 Å; angles 89.49, 89.49, 88.33 degrees
Fractional positions:
Na (0.705, 0.211, 0.314)
Na (0.211, 0.705, 0.814)
Mg (0.263, 0.761, 0.295)
Mg (0.761, 0.263, 0.795)
Al (0.998, 0.006, 0.270)
Al (0.487, 0.253, 0.012)
Al (0.748, 0.514, 0.516)
Al (0.514, 0.748, 0.016)
Al (0.253, 0.487, 0.512)
Al (0.006, 0.998, 0.770)
Si (0.505, 0.501, 0.264)
Si (0.003, 0.249, 0.523)
Si (0.750, 0.999, 0.016)
Si (0.999, 0.750, 0.516)
Si (0.249, 0.003, 0.023)
Si (0.501, 0.505, 0.764)
O (0.942, 0.150, 0.389)
O (0.645, 0.144, 0.060)
O (0.636, 0.447, 0.376)
O (0.060, 0.845, 0.370)
O (0.355, 0.858, 0.086)
O (0.355, 0.559, 0.358)
O (0.965, 0.850, 0.659)
O (0.650, 0.867, 0.966)
O (0.643, 0.555, 0.672)
O (0.048, 0.154, 0.668)
O (0.354, 0.132, 0.967)
O (0.364, 0.458, 0.665)
O (0.458, 0.364, 0.165)
O (0.154, 0.048, 0.168)
O (0.132, 0.354, 0.467)
O (0.559, 0.355, 0.858)
O (0.845, 0.060, 0.870)
O (0.858, 0.355, 0.586)
O (0.447, 0.636, 0.876)
O (0.150, 0.942, 0.889)
O (0.144, 0.645, 0.560)
O (0.555, 0.643, 0.172)
O (0.850, 0.965, 0.159)
O (0.867, 0.650, 0.466)
O (0.813, 0.317, 0.013)
O (0.187, 0.681, 0.094)
O (0.952, 0.541, 0.871)
O (0.061, 0.459, 0.872)
O (0.459, 0.061, 0.372)
O (0.681, 0.187, 0.594)
O (0.317, 0.813, 0.513)
O (0.541, 0.952, 0.371)

Values from the calculation:
space-group type = Cc, No. 9
energy relative to the elements = -2.241 eV/atom